(1)
Here is Al2O after structural relaxation from Materials Project. Energies are from PBE-GGA.

Lattice parameters (Å, degrees): 5.629 5.656 49.782 89.46 88.33 60.73
Fractional coordinates of all 54 atoms:
Al (0.000, 0.000, 0.000)
Al (0.000, 0.497, 0.000)
Al (0.003, 0.500, 0.811)
Al (0.144, 0.668, 0.093)
Al (0.150, 0.163, 0.093)
Al (0.175, 0.629, 0.659)
Al (0.180, 0.164, 0.953)
Al (0.180, 0.664, 0.955)
Al (0.229, 0.293, 0.702)
Al (0.261, 0.824, 0.720)
Al (0.290, 0.462, 0.766)
Al (0.325, 0.332, 0.047)
Al (0.325, 0.832, 0.047)
Al (0.351, 0.343, 0.908)
Al (0.361, 0.820, 0.907)
Al (0.450, 0.565, 0.829)
Al (0.467, 0.498, 0.140)
Al (0.468, 0.996, 0.141)
Al (0.485, 0.010, 0.847)
Al (0.499, 0.003, 0.000)
Al (0.504, 0.500, 0.000)
Al (0.549, 0.807, 0.661)
Al (0.646, 0.163, 0.093)
Al (0.646, 0.666, 0.093)
Al (0.677, 0.671, 0.953)
Al (0.679, 0.164, 0.953)
Al (0.686, 0.951, 0.747)
Al (0.821, 0.358, 0.753)
Al (0.823, 0.833, 0.046)
Al (0.825, 0.331, 0.048)
Al (0.857, 0.334, 0.908)
Al (0.863, 0.827, 0.908)
Al (0.907, 0.177, 0.654)
Al (0.957, 0.142, 0.860)
Al (0.967, 0.998, 0.140)
Al (0.968, 0.497, 0.140)
O (0.003, 0.200, 0.722)
O (0.033, 0.370, 0.778)
O (0.053, 0.759, 0.746)
O (0.088, 0.357, 0.666)
O (0.148, 0.276, 0.838)
O (0.194, 0.631, 0.696)
O (0.231, 0.903, 0.644)
O (0.247, 0.601, 0.801)
O (0.253, 0.819, 0.853)
O (0.427, 0.255, 0.732)
O (0.446, 0.925, 0.695)
O (0.539, 0.981, 0.884)
O (0.562, 0.707, 0.745)
O (0.583, 0.465, 0.655)
O (0.653, 0.207, 0.772)
O (0.656, 0.219, 0.840)
O (0.668, 0.719, 0.823)
O (0.807, 0.897, 0.653)

Output
- Total DFT energy (no corrections): -5.64 eV/atom
- SG: P1, No. 1
- Relative energy among the computed polymorphs: 0 meV per atom

(2)
Here is AlO3 after structural relaxation from Materials Project. Energies are from PBE-GGA.

Lattice parameters (Å, degrees): 4.992 5.530 5.532 114.95 115.89 94.22
Fractional coordinates of all 8 atoms:
Al (0.112, 0.306, 0.112)
Al (0.888, 0.694, 0.888)
O (0.013, 0.378, 0.797)
O (0.210, 0.976, 0.002)
O (0.430, 0.452, 0.564)
O (0.570, 0.548, 0.436)
O (0.790, 0.024, 0.998)
O (0.987, 0.622, 0.203)

Output
- Total DFT energy (no corrections): -5.79 eV/atom
- SG: P-1, No. 2

(3)
Here is AlO3 after structural relaxation from Materials Project. Energies are from PBE-GGA.

Lattice parameters (Å, degrees): 5.379 5.379 5.379 56.75 56.75 56.75
Fractional coordinates of all 8 atoms:
Al (0.000, 0.000, 0.000)
Al (0.500, 0.500, 0.500)
O (0.237, 0.750, 0.263)
O (0.250, 0.737, 0.763)
O (0.263, 0.237, 0.750)
O (0.737, 0.763, 0.250)
O (0.750, 0.263, 0.237)
O (0.763, 0.250, 0.737)

Output
- Total DFT energy (no corrections): -5.72 eV/atom
- SG: R-3c, No. 167

(4)
Here is AlO3 after structural relaxation from Materials Project. Energies are from PBE-GGA.

Lattice parameters (Å, degrees): 8.576 5.656 12.210 90.00 127.43 90.00
Fractional coordinates of all 32 atoms:
Al (0.153, 0.054, 0.152)
Al (0.153, 0.446, 0.652)
Al (0.324, 0.038, 0.826)
Al (0.324, 0.462, 0.326)
Al (0.676, 0.538, 0.674)
Al (0.676, 0.962, 0.174)
Al (0.847, 0.554, 0.348)
Al (0.847, 0.946, 0.848)
O (0.107, 0.588, 0.499)
O (0.107, 0.912, 0.999)
O (0.149, 0.726, 0.226)
O (0.149, 0.774, 0.726)
O (0.179, 0.208, 0.293)
O (0.179, 0.292, 0.793)
O (0.310, 0.195, 0.693)
O (0.310, 0.305, 0.193)
O (0.343, 0.706, 0.778)
O (0.343, 0.794, 0.278)
O (0.425, 0.563, 0.506)
O (0.425, 0.937, 0.006)
O (0.575, 0.063, 0.994)
O (0.575, 0.437, 0.494)
O (0.657, 0.206, 0.722)
O (0.657, 0.294, 0.222)
O (0.690, 0.695, 0.807)
O (0.690, 0.805, 0.307)
O (0.821, 0.708, 0.207)
O (0.821, 0.792, 0.707)
O (0.851, 0.226, 0.274)
O (0.851, 0.274, 0.774)
O (0.893, 0.088, 0.001)
O (0.893, 0.412, 0.501)

Output
- Total DFT energy (no corrections): -5.81 eV/atom
- SG: P2_1/c, No. 14

(5)
Here is AlO3 after structural relaxation from Materials Project. Energies are from PBE-GGA.

Lattice parameters (Å, degrees): 5.487 6.100 6.955 89.73 85.64 80.86
Fractional coordinates of all 16 atoms:
Al (0.005, 0.328, 0.168)
Al (0.479, 0.834, 0.671)
Al (0.521, 0.166, 0.329)
Al (0.995, 0.672, 0.832)
O (0.138, 0.389, 0.920)
O (0.209, 0.701, 0.614)
O (0.246, 0.079, 0.222)
O (0.261, 0.814, 0.888)
O (0.285, 0.413, 0.267)
O (0.358, 0.116, 0.570)
O (0.642, 0.884, 0.430)
O (0.715, 0.587, 0.733)
O (0.739, 0.186, 0.112)
O (0.754, 0.921, 0.778)
O (0.791, 0.299, 0.386)
O (0.862, 0.611, 0.080)

Output
- Total DFT energy (no corrections): -5.59 eV/atom
- SG: P-1, No. 2

(6)
Here is Al2O after structural relaxation from Materials Project. Energies are from PBE-GGA.

Lattice parameters (Å, degrees): 5.589 5.606 50.175 89.65 89.09 61.22
Fractional coordinates of all 54 atoms:
Al (0.000, 0.000, 0.000)
Al (0.000, 0.500, 0.000)
Al (0.002, 0.474, 0.138)
Al (0.011, 0.964, 0.146)
Al (0.103, 0.536, 0.335)
Al (0.119, 0.205, 0.199)
Al (0.151, 0.705, 0.230)
Al (0.167, 0.167, 0.048)
Al (0.167, 0.667, 0.048)
Al (0.174, 0.167, 0.906)
Al (0.175, 0.667, 0.906)
Al (0.245, 0.087, 0.382)
Al (0.327, 0.833, 0.094)
Al (0.333, 0.323, 0.093)
Al (0.337, 0.333, 0.953)
Al (0.338, 0.831, 0.953)
Al (0.453, 0.591, 0.287)
Al (0.498, 0.482, 0.138)
Al (0.500, 0.000, 0.000)
Al (0.500, 0.500, 0.000)
Al (0.503, 0.971, 0.144)
Al (0.515, 0.502, 0.391)
Al (0.547, 0.066, 0.321)
Al (0.595, 0.285, 0.186)
Al (0.609, 0.794, 0.214)
Al (0.667, 0.167, 0.048)
Al (0.667, 0.667, 0.048)
Al (0.674, 0.167, 0.906)
Al (0.675, 0.667, 0.906)
Al (0.829, 0.830, 0.094)
Al (0.834, 0.321, 0.093)
Al (0.835, 0.908, 0.381)
Al (0.837, 0.333, 0.954)
Al (0.838, 0.832, 0.953)
Al (0.871, 0.708, 0.274)
Al (0.998, 0.187, 0.290)
O (0.206, 0.763, 0.376)
O (0.223, 0.583, 0.264)
O (0.265, 0.193, 0.348)
O (0.267, 0.945, 0.227)
O (0.268, 0.434, 0.207)
O (0.354, 0.302, 0.399)
O (0.360, 0.946, 0.295)
O (0.426, 0.442, 0.317)
O (0.494, 0.000, 0.184)
O (0.612, 0.778, 0.392)
O (0.757, 0.451, 0.206)
O (0.759, 0.451, 0.266)
O (0.798, 0.851, 0.238)
O (0.813, 0.853, 0.345)
O (0.816, 0.000, 0.294)
O (0.853, 0.220, 0.387)
O (0.939, 0.490, 0.307)
O (0.966, 0.014, 0.183)

Output
- Total DFT energy (no corrections): -5.64 eV/atom
- SG: P1, No. 1
- Relative energy among the computed polymorphs: 0 meV per atom

Q: The lowest total DFT energy (no corrections) belongs to which entry?
A: number 4